Record 1
Compound: HfZn2
Source: the Materials Project
Functional: r²SCAN
Structure: relaxed

Values from the calculation:
The value obtained for the formation energy is -0.28 eV/atom. Its total DFT energy (no corrections) is -21.268 eV per atom.

a b c (Å): 5.1606 5.1606 16.7607
angles (deg): 90.00 90.00 120.00
Space group P6_3/mmc (No. 194)
Asymmetric unit:
Hf 0.0000 0.0000 0.0920 x4
Hf 0.3333 0.6667 0.1562 x4
Zn 0.0000 0.5000 0.0000 x6
Zn 0.1616 0.3232 0.7500 x6
Zn 0.3333 0.6667 0.6269 x4

---

Record 2
Compound: MgMoF6
Source: the Materials Project
Functional: r²SCAN
Structure: relaxed

Values from the calculation:
The value obtained for the formation energy is -3.10 eV/atom. Its total DFT energy (no corrections) is -9.228 eV per atom.

a b c (Å): 5.1050 5.1050 13.9156
angles (deg): 90.00 90.00 120.00
Space group R-3 (No. 148, hexagonal axes)
Asymmetric unit:
Mg 0.0000 0.0000 0.0000 x3
Mo 0.0000 0.0000 0.5000 x3
F 0.0042 0.6204 0.2506 x18

---

Record 3
Compound: TbPt2
Source: the Materials Project
Functional: r²SCAN
Structure: relaxed

Values from the calculation:
The value obtained for the formation energy is -1.22 eV/atom. Its total DFT energy (no corrections) is -45.951 eV per atom.

a b c (Å): 7.652 7.652 7.652
angles (deg): 90.00 90.00 90.00
Space group Fd-3m (No. 227, origin choice 2)
Asymmetric unit:
Tb 0.125 0.125 0.125 x8
Pt 0.000 0.000 0.500 x16

---

| no. | spin magnetization (μB/f.u.) |
| --- | --- |
| 1 | 1.04 |
| 2 | 2.00 |
| 3 | 0.00 |